# CsGaAs3H5O12 | Materials Project | GGA-PBE | optimized geometry
data_CsGaAs3H5O12
_cell_length_a 4.828
_cell_length_b 14.983
_cell_length_c 15.345
_cell_angle_alpha 90.00
_cell_angle_beta 93.25
_cell_angle_gamma 90.00
_symmetry_space_group_name_H-M 'C 1 c 1'
_symmetry_Int_Tables_number 9
loop_
_symmetry_equiv_pos_as_xyz
'x,y,z'
'x,-y,z+1/2'
'x+1/2,y+1/2,z'
'x+1/2,-y+1/2,z+1/2'
loop_
_atom_site_label
_atom_site_type_symbol
_atom_site_fract_x
_atom_site_fract_y
_atom_site_fract_z
_atom_site_occupancy
Cs1 Cs 0.000 0.003 0.000 1
Ga1 Ga 0.006 0.145 0.247 1
As1 As 0.004 0.497 0.248 1
As2 As 0.034 0.282 0.872 1
As3 As 0.484 0.215 0.119 1
H1 H 0.169 0.320 0.069 1
H2 H 0.194 0.367 0.308 1
H3 H 0.278 0.238 0.493 1
H4 H 0.309 0.134 0.689 1
H5 H 0.347 0.181 0.934 1
O1 O 0.098 0.311 0.518 1
O2 O 0.156 0.428 0.330 1
O3 O 0.188 0.176 0.888 1
O4 O 0.230 0.140 0.142 1
O5 O 0.251 0.448 0.693 1
O6 O 0.252 0.260 0.694 1
O7 O 0.254 0.243 0.303 1
O8 O 0.261 0.054 0.303 1
O9 O 0.281 0.359 0.853 1
O10 O 0.333 0.323 0.111 1
O11 O 0.351 0.073 0.667 1
O12 O 0.417 0.187 0.474 1
# Calculated formation energy (eV/atom): -1.67
# Magnetic moment (μB per atom): 0.000
# Raw total energy (Ry per atom): -0.410
# Volume (Å³/atom): 12.59